Compound: Li2NbV3O8
Source: the Materials Project database
Functional: GGA+U
Structure: relaxed Values from VASP.

Geometry as Quantum ESPRESSO input:
```
&SYSTEM
  ibrav = 0, nat = 28, ntyp = 4
/
ATOMIC_SPECIES
Li 6.94 Li.upf
Nb 92.91 Nb.upf
V 50.94 V.upf
O 16.00 O.upf
CELL_PARAMETERS angstrom
3.0058 -5.2062 0.0000
3.0058 5.2062 0.0000
0.0000 0.0000 9.7665
ATOMIC_POSITIONS angstrom
Li 3.0058 1.7354 8.7795
Li 0.0000 0.0000 9.6969
Li 0.0000 0.0000 4.8136
Li 3.0058 -1.7354 3.8963
Nb 3.0058 1.7354 4.7942
Nb 3.0058 -1.7354 9.6775
V 3.0058 3.4306 2.1000
V 1.5377 0.8878 2.1000
V 4.4739 0.8878 2.1000
V 1.5377 -0.8878 6.9833
V 4.4739 -0.8878 6.9833
V 3.0058 -3.4306 6.9833
O 3.0058 3.4579 5.7865
O 1.6740 2.5043 3.3607
O 3.0058 1.7354 1.0529
O 0.0000 0.0000 3.0136
O 0.0000 0.0000 7.8969
O 1.5141 0.8742 5.7865
O 4.3376 2.5043 3.3607
O 3.0058 0.1976 3.3607
O 1.5141 -0.8742 0.9032
O 4.4975 0.8742 5.7865
O 3.0058 -0.1976 8.2440
O 1.6740 -2.5043 8.2440
O 3.0058 -1.7354 5.9361
O 4.4975 -0.8742 0.9032
O 4.3376 -2.5043 8.2440
O 3.0058 -3.4579 0.9032
```

Results
space-group type	P6_3mc, No. 186
crystal system	hexagonal
total moment	6.0	μB/f.u.
distance to the lowest polymorph of the same formula	0	meV per atom
E (MP2020)	-8.42	eV/atom
energy relative to the elements	-2.650	eV per atom